# 1
The following is a DFT calculation (GGA+U) of a relaxed structure of VH12Cl3O6.

Structure (POSCAR):
```
VH12Cl3O6
1.0
6.4250 0.0000 0.0000
0.0000 6.5504 0.0000
0.0000 1.8341 11.8567
O Cl H V
12 6 24 2
direct
0.5087 0.2113 0.7984
0.8523 0.1933 0.0918
0.7233 0.9216 0.9337
0.4913 0.7887 0.2016
0.1477 0.8067 0.9082
0.6477 0.1933 0.5918
0.0087 0.7887 0.7016
0.3523 0.8067 0.4082
0.9913 0.2113 0.2984
0.2233 0.0784 0.5663
0.2767 0.0784 0.0663
0.7767 0.9216 0.4337
0.0000 0.5000 0.5000
0.9661 0.7278 0.1578
0.5000 0.5000 0.0000
0.0339 0.2722 0.8422
0.5339 0.7278 0.6578
0.4661 0.2722 0.3422
0.7632 0.3118 0.0606
0.1554 0.2155 0.5469
0.6554 0.7845 0.9531
0.8446 0.7845 0.4531
0.4037 0.7901 0.3307
0.0963 0.7901 0.8307
0.6459 0.7892 0.1947
0.8662 0.0191 0.3814
0.4501 0.6631 0.1716
0.0499 0.6631 0.6716
0.7368 0.3118 0.5606
0.1338 0.9809 0.6186
0.2632 0.6882 0.4394
0.5499 0.3369 0.8284
0.8541 0.7892 0.6947
0.9037 0.2099 0.1693
0.1459 0.2108 0.3053
0.3662 0.9809 0.1186
0.2368 0.6882 0.9394
0.5963 0.2099 0.6693
0.3446 0.2155 0.0469
0.3541 0.2108 0.8053
0.6338 0.0191 0.8814
0.9501 0.3369 0.3284
0.0000 0.0000 0.0000
0.5000 0.0000 0.5000
```

## Properties
DFT formation energy   -1.29 eV per atom

=====

# 2
The following is a DFT calculation (GGA+U) of a relaxed structure of La15Mn16O48.

Structure (POSCAR):
```
La15Mn16O48
1.0
5.5313 0.0000 0.0000
2.5830 12.1431 0.0000
2.7048 0.6200 14.5168
O Mn La
48 16 15
direct
0.2066 0.3912 0.7647
0.0669 0.7568 0.6617
0.8304 0.0300 0.8884
0.7061 0.8913 0.2651
0.8035 0.1181 0.7089
0.7882 0.0397 0.3822
0.5801 0.7664 0.6383
0.5845 0.3357 0.4944
0.4301 0.7319 0.8283
0.9516 0.7227 0.8496
0.8345 0.5854 0.7410
0.9286 0.2449 0.3360
0.1714 0.9860 0.1103
0.4183 0.2350 0.3603
0.5462 0.3585 0.9847
0.6967 0.3804 0.7880
0.0505 0.3700 0.9602
0.3306 0.5140 0.3894
0.0399 0.2888 0.6311
0.4395 0.6279 0.0220
0.3021 0.6165 0.2106
0.2921 0.5369 0.8850
0.9602 0.7111 0.3688
0.9097 0.1661 0.0106
0.5533 0.8687 0.4603
0.6689 0.4856 0.6099
0.1971 0.8862 0.2909
0.9571 0.1394 0.5147
0.2091 0.9603 0.6216
0.9460 0.6304 0.0392
0.3327 0.0867 0.2439
0.2953 0.0242 0.9103
0.1759 0.4926 0.5839
0.4152 0.6645 0.5049
0.0875 0.8370 0.9874
0.5726 0.2592 0.1662
0.5337 0.7842 0.1481
0.1655 0.4124 0.2568
0.7156 0.4584 0.1175
0.4448 0.1309 0.5401
0.6647 0.9147 0.7561
0.0830 0.2623 0.1392
0.7945 0.6052 0.2346
0.3004 0.1121 0.7328
0.6877 0.9996 0.0961
0.8225 0.5059 0.4144
0.4616 0.2128 0.8662
0.0462 0.8610 0.4857
0.4992 0.5008 0.5001
0.1260 0.1236 0.6256
0.0627 0.5625 0.3119
0.6219 0.6278 0.1238
0.5612 0.0607 0.8143
0.7498 0.7507 0.7523
0.2497 0.2500 0.2492
0.8131 0.3124 0.0621
0.1875 0.6908 0.9380
0.9361 0.4375 0.6880
0.8752 0.8754 0.3745
0.6869 0.1876 0.4377
0.4420 0.9354 0.1854
0.3765 0.3750 0.8755
0.3118 0.8131 0.5628
0.0003 0.9966 0.9990
0.5310 0.2813 0.6585
0.1517 0.9025 0.7936
0.2229 0.4685 0.0916
0.2812 0.0307 0.4048
0.7799 0.5420 0.9084
0.4709 0.7207 0.3374
0.9051 0.6568 0.5322
0.0355 0.7846 0.1444
0.6573 0.4069 0.2796
0.0935 0.3440 0.4689
0.4082 0.1448 0.0282
0.8422 0.0931 0.2167
0.7178 0.9682 0.5962
0.3369 0.5976 0.7235
0.9720 0.2147 0.8464
```

## Properties
DFT formation energy   -2.93 eV per atom

=====

# 3
The following is a DFT calculation (GGA+U) of a relaxed structure of MgMn2P2H2O10.

Structure (POSCAR):
```
MgMn2P2H2O10
1.0
-1.1095 4.8142 2.5481
-4.3857 -5.0411 2.9652
4.8523 -0.8823 1.6719
P O Mn H Mg
2 10 2 2 1
direct
0.3637 0.2390 0.6728
0.6287 0.7597 0.3420
0.7791 0.6117 0.2916
0.3524 0.1461 0.8987
0.6604 0.3392 0.6791
0.2585 0.0669 0.3615
0.0438 0.7270 0.8565
0.3326 0.6434 0.2946
0.2087 0.3815 0.6908
0.7431 0.9240 0.6537
0.6627 0.8927 0.1597
0.9476 0.2728 0.1536
0.9871 0.9863 0.9997
0.0009 0.5030 0.9967
0.9647 0.6685 0.6457
0.0785 0.3457 0.3507
0.6000 0.1591 0.2400
```

## Properties
DFT formation energy   -2.34 eV per atom

=====

# 4
The following is a DFT calculation (GGA+U) of a relaxed structure of VO.

Structure (POSCAR):
```
VO
1.0
-0.3771 -3.0317 0.9152
-5.1458 3.0534 7.9943
-2.7552 -1.5045 -0.5625
O V
4 4
direct
0.1250 0.3750 0.7500
0.3750 0.1250 0.2500
0.6250 0.8750 0.7500
0.8750 0.6250 0.2500
0.7517 0.2552 0.4965
0.4982 0.4946 0.0036
0.2518 0.7554 0.4964
0.9983 0.9948 0.0035
```

## Properties
DFT formation energy   -2.04 eV per atom

=====

| no. | VASP energy (eV for the cell shown) |
| --- | --- |
| 1 | -215.0 |
| 2 | -630.1 |
| 3 | -116.6 |
| 4 | -62.9 |